Record 1
{
  "formula": "SrUO4",
  "functional": "PBE-GGA",
  "state": "relaxed",
  "cell": [[-3.1529, 1.4710, -4.3765], [5.7176, -2.6242, -5.0011], [-3.4338, -7.4338, -0.0249]],
  "species": ["Sr", "Sr", "Sr", "Sr", "U", "U", "U", "U", "O", "O", "O", "O", "O", "O", "O", "O", "O", "O", "O", "O", "O", "O", "O", "O"],
  "frac_coords": [[0.4807, 0.1973, 0.2500], [0.4807, 0.3027, 0.7500], [0.5193, 0.6973, 0.2500], [0.5193, 0.8027, 0.7500], [0.0000, 0.0000, 0.0000], [0.0000, 0.5000, 0.0000], [0.0000, 0.5000, 0.5000], [0.0000, 0.0000, 0.5000], [0.1336, 0.9662, 0.7500], [0.1336, 0.5338, 0.2500], [0.8664, 0.4662, 0.7500], [0.8664, 0.0338, 0.2500], [0.1674, 0.2500, 0.5000], [0.8326, 0.7500, 0.0000], [0.8326, 0.7500, 0.5000], [0.1674, 0.2500, 0.0000], [0.3017, 0.9195, 0.0796], [0.3017, 0.5805, 0.9204], [0.6983, 0.4195, 0.4204], [0.6983, 0.0805, 0.5796], [0.6983, 0.0805, 0.9204], [0.6983, 0.4195, 0.0796], [0.3017, 0.5805, 0.5796], [0.3017, 0.9195, 0.4204]],
  "sg": "Pbcm",
  "crystal_system": "orthorhombic"
}

Record 2
{
  "formula": "Sr2UO4",
  "functional": "PBE-GGA",
  "state": "relaxed",
  "cell": [[-2.2094, 2.2094, 6.4585], [2.2094, -2.2094, 6.4585], [2.2094, 2.2094, -6.4585]],
  "species": ["Sr", "Sr", "U", "O", "O", "O", "O"],
  "frac_coords": [[0.3522, 0.3522, 0.0000], [0.6478, 0.6478, 0.0000], [0.0000, 0.0000, 0.0000], [0.0000, 0.5000, 0.5000], [0.5000, 0.0000, 0.5000], [0.1699, 0.1699, 0.0000], [0.8301, 0.8301, 0.0000]],
  "sg": "I4/mmm",
  "crystal_system": "tetragonal"
}

Record 3
{
  "formula": "SrUO4",
  "functional": "PBE-GGA",
  "state": "relaxed",
  "cell": [[0.6120, 1.9729, -3.3619], [0.6120, -1.9729, -3.3619], [-5.7475, 0.0000, -3.3619]],
  "species": ["Sr", "U", "O", "O", "O", "O"],
  "frac_coords": [[0.5000, 0.5000, 0.5000], [0.0000, 0.0000, 0.0000], [0.1061, 0.1061, 0.6817], [0.3590, 0.3590, 0.9229], [0.6410, 0.6410, 0.0771], [0.8939, 0.8939, 0.3183]],
  "sg": "R-3m",
  "crystal_system": "trigonal"
}

Record 4
{
  "formula": "Sr2U2O7",
  "functional": "PBE-GGA",
  "state": "relaxed",
  "cell": [[-2.2438, 1.8552, -2.8350], [-3.7429, -5.5350, -0.6597], [-5.3669, 0.2251, 4.3949]],
  "species": ["Sr", "Sr", "U", "U", "O", "O", "O", "O", "O", "O", "O"],
  "frac_coords": [[0.0000, 0.5121, 0.4976], [0.5000, 0.5047, 0.9950], [0.0000, 0.0038, 0.0113], [0.5000, 0.9950, 0.4848], [0.5000, 0.3185, 0.3923], [0.0000, 0.3217, 0.8893], [0.5000, 0.6696, 0.5982], [0.0000, 0.6852, 0.1107], [0.5000, 0.0463, 0.1496], [0.0000, 0.9539, 0.4046], [0.5000, 0.9691, 0.8065]],
  "sg": "Pm",
  "crystal_system": "monoclinic"
}

Record 5
{
  "formula": "Sr4U2O9",
  "functional": "PBE-GGA",
  "state": "relaxed",
  "cell": [[-8.7016, 0.0000, 0.0000], [4.1838, 9.6880, 0.0000], [-0.2109, -3.8184, -11.6402]],
  "species": ["Sr", "Sr", "Sr", "Sr", "Sr", "Sr", "Sr", "Sr", "Sr", "Sr", "Sr", "Sr", "Sr", "Sr", "Sr", "Sr", "U", "U", "U", "U", "U", "U", "U", "U", "O", "O", "O", "O", "O", "O", "O", "O", "O", "O", "O", "O", "O", "O", "O", "O", "O", "O", "O", "O", "O", "O", "O", "O", "O", "O", "O", "O", "O", "O", "O", "O", "O", "O", "O", "O"],
  "frac_coords": [[0.3359, 0.6694, 0.1647], [0.4409, 0.3552, 0.1014], [0.7158, 0.9846, 0.2398], [0.6641, 0.3306, 0.8353], [0.9621, 0.3489, 0.0902], [0.7793, 0.0190, 0.7705], [0.0000, 0.0000, 0.0000], [0.2207, 0.9810, 0.2295], [0.0379, 0.6511, 0.9098], [0.0000, 0.0000, 0.5000], [0.2842, 0.0154, 0.7602], [0.1115, 0.6881, 0.4352], [0.5591, 0.6448, 0.8986], [0.3751, 0.3183, 0.5731], [0.6249, 0.6817, 0.4269], [0.8885, 0.3119, 0.5648], [0.1697, 0.3378, 0.3354], [0.6660, 0.3312, 0.3326], [0.8327, 0.6662, 0.1704], [0.5000, 0.0000, 0.0000], [0.1673, 0.3338, 0.8296], [0.8303, 0.6622, 0.6646], [0.3340, 0.6688, 0.6674], [0.5000, 0.0000, 0.5000], [0.5994, 0.6607, 0.2215], [0.7530, 0.4387, 0.2043], [0.3827, 0.8861, 0.3314], [0.5235, 0.1335, 0.1928], [0.8786, 0.2670, 0.3291], [0.1795, 0.5093, 0.2831], [0.5090, 0.8318, 0.0560], [0.7643, 0.0824, 0.0010], [0.9403, 0.3400, 0.8840], [0.1548, 0.2230, 0.1622], [0.2755, 0.4442, 0.0038], [0.9105, 0.8790, 0.1514], [0.0895, 0.1210, 0.8486], [0.7245, 0.5558, 0.9962], [0.8452, 0.7770, 0.8378], [0.0597, 0.6600, 0.1160], [0.2357, 0.9176, 0.9990], [0.4910, 0.1682, 0.9440], [0.8205, 0.4907, 0.7169], [0.1214, 0.7330, 0.6709], [0.2727, 0.0037, 0.5547], [0.4765, 0.8665, 0.8072], [0.6173, 0.1139, 0.6686], [0.2470, 0.5613, 0.7957], [0.4215, 0.7776, 0.5387], [0.0657, 0.2308, 0.6547], [0.1907, 0.4680, 0.5211], [0.4006, 0.3393, 0.7785], [0.5409, 0.5965, 0.6554], [0.8416, 0.8342, 0.6117], [0.1584, 0.1658, 0.3883], [0.4591, 0.4035, 0.3446], [0.8093, 0.5320, 0.4789], [0.9343, 0.7692, 0.3453], [0.5785, 0.2224, 0.4613], [0.7273, 0.9963, 0.4453]],
  "sg": "P-1",
  "crystal_system": "triclinic"
}

Record 6
{
  "formula": "SrUO4",
  "functional": "PBE-GGA",
  "state": "relaxed",
  "cell": [[-2.3065, -5.1747, -3.7234], [0.9247, -3.8658, -5.4920], [1.2143, -6.2270, -2.3899]],
  "species": ["Sr", "U", "O", "O", "O", "O"],
  "frac_coords": [[0.5000, 0.5000, 0.5000], [0.0000, 0.0000, 0.0000], [0.8946, 0.8946, 0.8946], [0.1054, 0.1054, 0.1054], [0.3115, 0.3115, 0.3115], [0.6885, 0.6885, 0.6885]],
  "sg": "R-3m",
  "crystal_system": "trigonal"
}

Number 1: formation energy -3.6696 eV/atom. Number 2: formation energy -3.2654 eV/atom. Number 3: formation energy -3.6691 eV/atom. Number 4: formation energy -3.6608 eV/atom. Number 5: formation energy -3.5708 eV/atom. Number 6: formation energy -3.5767 eV/atom.